Record 1
Density functional theory data (PBE) for CaSn3P3O13 after structural relaxation. Values from VASP.

Cell and atoms, written as Quantum ESPRESSO input:
```
&SYSTEM
  ibrav = 0, nat = 40, ntyp = 4
/
ATOMIC_SPECIES
Ca 40.08 Ca.upf
Sn 118.71 Sn.upf
P 30.97 P.upf
O 16.00 O.upf
ATOMIC_POSITIONS angstrom
Ca 2.7015 -4.8346 -3.2276
Ca 9.8422 -4.6659 0.4660
Sn 5.5681 -1.6727 -2.7717
Sn 6.9756 -7.8279 0.0102
Sn 4.7346 -3.4856 0.5057
Sn -0.6784 -2.8763 -1.7635
Sn 7.8091 -6.0150 -3.2672
Sn 0.0000 0.0000 0.0000
P 8.4355 -2.9631 -1.7702
P 4.1082 -6.5375 -0.9913
P 7.1337 -5.1093 2.2311
P 5.4100 -4.3913 -4.9926
P 10.1407 -8.0958 -0.7704
P 2.4030 -1.4048 -1.9911
O 8.6633 -7.5655 -1.0671
O 3.8535 -5.0163 -1.0325
O 5.6731 -4.7301 2.1746
O 10.9984 -6.7737 -0.7165
O 5.6879 -6.8078 -1.1582
O 7.0280 -8.9037 1.7447
O 6.8558 -2.6928 -1.6033
O 2.0585 -0.5509 -0.7109
O 8.7863 -2.2422 -3.0809
O 3.7574 -7.2584 0.3194
O 8.1248 -3.9067 2.3113
O 5.5157 -0.5969 -4.5062
O 4.9084 -3.5184 -3.8004
O 2.1159 -3.5769 -5.0537
O 6.8706 -4.7705 -4.9361
O 1.5453 -2.7269 -2.0450
O 3.3803 -7.0224 -2.2625
O 8.6902 -4.4843 -1.7291
O 7.6353 -5.9822 1.0389
O 3.8804 -1.9351 -1.6945
O 5.2345 -3.5244 -6.3391
O 7.3092 -5.9762 3.5776
O 4.4189 -5.5938 -5.0729
O 10.4852 -8.9497 -2.0506
O 9.1634 -2.4782 -0.4990
O 10.4278 -5.9237 2.2922
CELL_PARAMETERS angstrom
-1.3568 -5.7526 -3.5270
5.8500 1.5619 -4.7979
8.0505 -5.3099 5.5634
```

Properties
MP2020-corrected energy: -7.216 eV/atom
Final energy: -6.769 eV per atom

=====

Record 2
Density functional theory data (PBE) for SrCaSnP2O8 after structural relaxation. Values from VASP.

Cell and atoms, written as Quantum ESPRESSO input:
```
&SYSTEM
  ibrav = 0, nat = 26, ntyp = 5
/
ATOMIC_SPECIES
Sr 87.62 Sr.upf
Ca 40.08 Ca.upf
Sn 118.71 Sn.upf
P 30.97 P.upf
O 16.00 O.upf
ATOMIC_POSITIONS angstrom
Sr -0.8092 0.8724 -5.2057
Sr 2.0101 -9.3232 -1.0100
Ca 3.9696 -4.6854 -2.2602
Ca -2.7687 -3.7654 -3.9556
Sn 0.5757 -4.5125 -5.2843
Sn 0.6252 -3.9383 -0.9314
P -0.4773 -1.6233 -2.6001
P 1.6783 -6.8275 -3.6156
P -2.5560 -4.2298 -0.3501
P 3.7569 -4.2210 -5.8656
O 1.0473 -8.2153 -3.2960
O -1.9342 -1.7427 -3.0940
O 1.5896 -6.5078 -5.1446
O -0.7898 -8.0427 -0.6043
O 3.1352 -6.7081 -3.1217
O 3.4972 -3.5988 -4.4308
O -2.2963 -4.8520 -1.7849
O 4.3803 -5.6149 -5.8267
O -0.3887 -1.9430 -1.0711
O -3.1794 -2.8359 -0.3891
O 0.1536 -0.2355 -2.9198
O 0.4642 -2.6883 -3.2541
O 0.7367 -5.7625 -2.9617
O -0.8529 -1.7748 -6.0482
O 1.9907 -0.4081 -5.6114
O 2.0538 -6.6760 -0.1675
CELL_PARAMETERS angstrom
-5.1560 -2.4282 -0.4676
0.3544 2.4018 -6.4865
6.0025 -8.4244 0.7383
```

Properties
MP2020-corrected energy: -7.407 eV/atom
Final energy: -6.984 eV per atom
Energy relative to the lowest polymorph listed for this composition: 0 meV per atom

=====

Record 3
Density functional theory data (PBE) for Sr2CaZn2Sn2P4O16 after structural relaxation. Values from VASP.

Cell and atoms, written as Quantum ESPRESSO input:
```
&SYSTEM
  ibrav = 0, nat = 27, ntyp = 6
/
ATOMIC_SPECIES
Sr 87.62 Sr.upf
Ca 40.08 Ca.upf
Zn 65.41 Zn.upf
Sn 118.71 Sn.upf
P 30.97 P.upf
O 16.00 O.upf
ATOMIC_POSITIONS angstrom
Sr -0.7643 4.6224 7.2294
Sr 3.7606 2.3298 -1.6025
Ca 0.0000 0.0000 0.0000
Zn -0.1827 1.8118 4.7100
Zn 3.1790 5.1405 0.9169
Sn 0.9976 5.8262 2.1974
Sn 1.9987 1.1261 3.4296
P 0.9079 2.9140 0.4954
P 2.0884 4.0382 5.1315
P 4.1424 -0.1234 1.2005
P -1.1461 7.0756 4.4265
O 2.9623 4.5616 6.3186
O 2.1622 3.6044 -0.1533
O 1.6528 5.2946 4.3367
O -0.3796 0.6050 6.2887
O 0.8341 3.3479 5.7802
O -1.0732 5.8431 3.3929
O 4.0695 1.1091 2.2341
O -1.4354 6.5493 5.8461
O 1.3435 1.6576 1.2903
O 4.4317 0.4029 -0.2192
O 0.0340 2.3906 -0.6917
O 0.0276 3.9248 1.2887
O 2.9687 3.0274 4.3383
O 0.8309 6.4944 -0.9382
O 3.3759 6.3473 -0.6617
O 2.1654 0.4579 6.5651
CELL_PARAMETERS angstrom
6.1053 -0.5355 -1.6703
-1.9790 7.3780 -2.2548
-1.1300 0.1097 9.5520
```

Properties
MP2020-corrected energy: -6.934 eV/atom
Final energy: -6.527 eV per atom

=====

Record 4
Density functional theory data (PBE) for CaTiSnP3O12 after structural relaxation. Values from VASP.

Cell and atoms, written as Quantum ESPRESSO input:
```
&SYSTEM
  ibrav = 0, nat = 36, ntyp = 5
/
ATOMIC_SPECIES
Ca 40.08 Ca.upf
Ti 47.87 Ti.upf
Sn 118.71 Sn.upf
P 30.97 P.upf
O 16.00 O.upf
ATOMIC_POSITIONS angstrom
Ca 0.0623 0.0346 0.0241
Ca 9.2688 5.1509 3.5922
Ti 2.6880 1.4938 1.0417
Ti 11.8945 6.6101 4.6098
Sn 6.4937 3.6087 2.5167
Sn 15.7003 8.7251 6.0847
P 6.0522 5.4516 5.3711
P 7.8255 5.8214 0.2652
P 9.0760 1.4830 3.2595
P 9.3016 8.7188 3.8551
P 10.5427 4.3974 6.8494
P 12.3159 4.7561 1.7594
O 4.8513 4.7164 2.0817
O 5.6048 2.2274 3.7064
O 6.1529 4.4839 6.5771
O 6.5670 2.5164 0.8093
O 6.7926 6.7766 5.6715
O 6.8739 4.8552 4.1716
O 7.0569 7.1593 0.4082
O 7.7529 5.0458 1.6300
O 8.2993 8.5935 2.7122
O 8.3791 2.8840 3.1144
O 8.6047 9.0667 5.2199
O 9.0658 4.1354 7.1268
O 9.3417 6.0788 0.0947
O 9.8062 1.1475 1.9347
O 10.0318 7.3596 3.9981
O 10.0952 1.7211 4.3991
O 10.6434 5.1947 5.5245
O 11.3643 3.0658 6.7042
O 11.5474 5.3526 2.9655
O 11.6802 3.4123 1.4177
O 11.9059 7.6572 6.3020
O 12.2434 5.7688 0.5600
O 12.7897 8.0103 3.5151
O 13.5563 5.5901 5.0076
CELL_PARAMETERS angstrom
8.9809 -0.0313 -0.0218
4.7161 7.6430 -0.0218
4.7161 2.6208 7.1797
```

Properties
MP2020-corrected energy: -7.837 eV/atom
Final energy: -7.379 eV per atom

=====

Record 5
Density functional theory data (PBE) for CaTb4P4O16 after structural relaxation. Values from VASP.

Cell and atoms, written as Quantum ESPRESSO input:
```
&SYSTEM
  ibrav = 0, nat = 25, ntyp = 4
/
ATOMIC_SPECIES
Ca 40.08 Ca.upf
Tb 158.93 Tb.upf
P 30.97 P.upf
O 16.00 O.upf
ATOMIC_POSITIONS angstrom
Ca 0.0344 -2.6167 6.4244
Tb -1.5957 -4.0315 2.6394
Tb -3.2132 -4.4112 6.3039
Tb -2.0675 0.6181 6.0346
Tb -1.4385 -0.3121 1.2350
P 0.3408 -5.1702 4.9825
P -5.3438 -3.5850 4.4352
P -4.1439 0.7627 3.4082
P 0.5623 -0.3038 4.1048
O -2.3357 -2.1864 1.8860
O -1.1608 2.4439 4.8588
O -5.2277 -0.2923 3.0604
O 0.1913 0.1667 2.7131
O 0.0265 -6.7190 4.7834
O -3.7772 -3.4712 4.2265
O -0.1256 1.6293 7.3954
O -0.6799 -0.7877 4.9180
O -3.5276 -0.9545 6.7189
O -5.9940 -3.7340 3.0329
O -4.1162 0.9473 4.9522
O 1.3363 0.7688 4.9473
O -1.1207 -4.3126 4.9224
O -5.8824 -2.3313 5.1139
O -2.7328 0.4558 2.9482
O 1.5437 -1.5132 4.1300
CELL_PARAMETERS angstrom
4.5522 -0.4580 4.6605
-4.4363 3.7859 3.1753
-4.3206 -7.2685 0.5090
```

Properties
MP2020-corrected energy: -8.184 eV/atom
Final energy: -7.744 eV per atom

=====

Record 6
Density functional theory data (PBE) for CaTi2P2O9 after structural relaxation. Values from VASP.

Cell and atoms, written as Quantum ESPRESSO input:
```
&SYSTEM
  ibrav = 0, nat = 56, ntyp = 4
/
ATOMIC_SPECIES
Ca 40.08 Ca.upf
Ti 47.87 Ti.upf
P 30.97 P.upf
O 16.00 O.upf
ATOMIC_POSITIONS angstrom
Ca 7.8569 7.8100 8.5826
Ca 1.4127 5.4630 5.4362
Ca 8.7061 4.9186 4.5094
Ca 2.2619 2.5716 1.3630
Ti 9.6852 8.8303 4.7061
Ti 0.4336 1.5514 5.2395
Ti 6.9539 3.9818 7.6724
Ti 3.1648 6.3998 2.2732
Ti -1.2140 3.0313 0.2253
Ti 5.0594 5.1908 4.9728
Ti 6.2734 2.1595 4.7475
Ti 0.0000 0.0000 0.0000
P 11.5630 6.0489 4.6948
P -1.4443 4.3327 5.2508
P 5.0524 6.7371 7.9059
P 5.0664 3.6445 2.0397
P 7.1119 7.8043 4.6444
P 0.6609 5.4499 1.5618
P 9.4579 4.9317 8.3838
P 3.0069 2.5773 5.3012
O 4.3048 1.7182 5.2786
O 6.7625 6.2952 4.4909
O -0.6244 6.3228 1.4663
O 9.7947 6.4271 8.6553
O 5.8140 8.6634 4.6669
O 3.3563 4.0865 5.4546
O 10.7432 4.0588 8.4793
O 0.3240 3.9546 1.2903
O 5.5726 3.7372 3.5203
O 4.5462 6.6444 6.4253
O -2.2452 3.9167 6.5324
O 12.3640 6.4650 3.4132
O 10.6361 9.3222 3.2107
O -0.5173 1.0594 6.7349
O 6.3475 3.8677 5.9398
O 3.7713 6.5139 4.0058
O 8.0302 8.2593 3.4702
O 2.0885 2.1223 6.4754
O 8.8155 4.7794 6.9719
O 1.3032 5.6022 2.9737
O 3.7460 4.4461 1.9096
O 5.4654 8.2011 8.2043
O -0.1066 3.5500 5.2189
O 11.1327 4.5660 4.5583
O 6.3728 5.9355 8.0360
O 4.6533 2.1805 1.7412
O 10.2253 6.8316 4.7267
O -1.0139 5.8156 5.3873
O 11.0170 9.2616 6.0785
O 9.1561 5.2929 1.8975
O 2.1490 2.3285 4.0263
O 7.9698 8.0531 5.9193
O 4.7423 7.1006 1.3438
O 5.3765 3.2810 8.6018
O -0.8982 1.1200 3.8671
O 0.9627 5.0887 8.0481
CELL_PARAMETERS angstrom
-2.4279 6.0626 0.4505
-0.7964 -0.8736 7.4633
13.3431 5.1927 2.0317
```

Properties
MP2020-corrected energy: -8.344 eV/atom
Final energy: -7.902 eV per atom

=====

Record 7
Density functional theory data (PBE) for CaUP2O8 after structural relaxation. Values from VASP.

Cell and atoms, written as Quantum ESPRESSO input:
```
&SYSTEM
  ibrav = 0, nat = 48, ntyp = 4
/
ATOMIC_SPECIES
Ca 40.08 Ca.upf
U 238.03 U.upf
P 30.97 P.upf
O 16.00 O.upf
ATOMIC_POSITIONS angstrom
Ca 6.0618 5.9253 7.9268
Ca 6.5282 10.2511 3.8679
Ca 3.7423 3.8840 1.7575
Ca 3.2758 -0.4419 5.8164
U 9.8187 8.1976 3.9506
U 4.1383 7.4324 4.9136
U -0.0146 1.6116 5.7337
U 5.6658 2.3769 4.7707
P 7.4005 5.5228 5.2001
P 5.1569 10.6666 6.6645
P 2.4035 4.2865 4.4842
P 4.6472 -0.8574 3.0198
P 8.5342 8.7215 6.7156
P 5.4289 6.9061 2.1355
P 1.2699 1.0878 2.9687
P 4.3752 2.9031 7.5488
O 8.7942 9.9591 7.6078
O 4.4227 5.9668 2.8431
O 1.0099 -0.1498 2.0765
O 5.3814 3.8425 6.8412
O 7.5202 7.8851 7.5478
O 5.5868 8.0847 3.1388
O 2.2839 1.9242 2.1365
O 4.2173 1.7246 6.5455
O 1.7860 0.6963 4.3858
O 5.6221 2.5900 2.3521
O 9.8472 7.9585 6.3670
O 2.3529 8.3738 6.2637
O 8.0181 9.1130 5.2985
O 4.1820 7.2193 7.3322
O -0.0431 1.8508 3.3174
O 7.4512 1.4355 3.4206
O 4.7769 0.2991 4.0474
O 1.3928 3.4821 5.3454
O 5.0272 9.5102 5.6369
O 8.4113 6.3271 4.3389
O 3.6479 -1.8866 3.6184
O 2.7526 5.5756 5.2795
O 6.1562 11.6959 6.0659
O 7.0515 4.2337 4.4048
O 3.4306 -0.5110 8.2887
O 1.8093 4.6639 3.0976
O 8.2619 9.1284 2.4987
O 6.1064 6.3372 5.4837
O 6.3735 10.3203 1.3957
O 7.9948 5.1453 6.5867
O 1.5422 0.6808 7.1856
O 3.6976 3.4721 4.2006
CELL_PARAMETERS angstrom
-2.5849 1.0332 5.5416
5.3287 -3.3633 3.1127
7.0603 12.1394 1.0300
```

Properties
MP2020-corrected energy: -8.541 eV/atom
Final energy: -8.083 eV per atom

=====

Record 8
Density functional theory data (PBE) for CaU2P2O4 after structural relaxation. Values from VASP.

Cell and atoms, written as Quantum ESPRESSO input:
```
&SYSTEM
  ibrav = 0, nat = 9, ntyp = 4
/
ATOMIC_SPECIES
Ca 40.08 Ca.upf
U 238.03 U.upf
P 30.97 P.upf
O 16.00 O.upf
ATOMIC_POSITIONS angstrom
Ca 0.0000 0.0000 0.0000
U -3.4816 6.3344 9.0449
U -1.2111 2.2034 3.1462
P -0.2144 0.1255 4.8238
P -3.7142 0.8514 2.9682
O -2.9321 5.3345 7.6171
O -1.7606 3.2033 4.5739
O -4.0560 7.3793 10.5369
O -0.6367 1.1585 1.6542
CELL_PARAMETERS angstrom
1.1535 3.5430 7.9511
-5.8462 4.9947 4.2400
0.7642 -7.5609 -4.3991
```

Properties
MP2020-corrected energy: -8.292 eV/atom
Final energy: -7.986 eV per atom

=====

Record 9
Density functional theory data (PBE) for CaZn2P2O8 after structural relaxation. Values from VASP.

Cell and atoms, written as Quantum ESPRESSO input:
```
&SYSTEM
  ibrav = 0, nat = 26, ntyp = 4
/
ATOMIC_SPECIES
Ca 40.08 Ca.upf
Zn 65.41 Zn.upf
P 30.97 P.upf
O 16.00 O.upf
ATOMIC_POSITIONS angstrom
Ca 1.9241 -1.2921 7.6219
Ca 0.5863 6.0405 0.4219
Zn 1.7437 1.1023 4.7354
Zn 0.7667 3.6460 3.3085
Zn 3.6439 -0.3758 2.3172
Zn -1.1335 5.1241 5.7267
P 3.4690 4.9844 2.4335
P -0.9586 -0.2360 5.6103
P 1.1381 1.0903 1.4674
P 1.3723 3.6580 6.5764
O -1.6670 0.6024 6.6946
O 4.1774 4.1459 1.3492
O 1.8121 -0.3079 1.6058
O 0.6983 5.0563 6.4381
O -1.0477 4.4075 3.8163
O 3.5582 0.3408 4.2276
O 3.5770 -1.6938 5.7546
O -1.0666 6.4421 2.2893
O 1.2689 1.7765 2.8830
O 1.2415 2.9718 5.1608
O 0.7863 2.7497 7.6431
O 1.7241 1.9987 0.4007
O 0.5925 -0.1997 5.6689
O 1.9179 4.9480 2.3749
O 2.8963 3.8529 6.8529
O -0.3859 0.8954 1.1909
CELL_PARAMETERS angstrom
5.0426 0.0000 0.0000
-0.6099 8.5156 0.0000
-1.9223 -3.7673 8.0438
```

Properties
MP2020-corrected energy: -6.932 eV/atom
Final energy: -6.509 eV per atom

=====

Record 10
Density functional theory data (PBE) for CaZn2P2O10 after structural relaxation. Values from VASP.

Cell and atoms, written as Quantum ESPRESSO input:
```
&SYSTEM
  ibrav = 0, nat = 30, ntyp = 4
/
ATOMIC_SPECIES
Ca 40.08 Ca.upf
Zn 65.41 Zn.upf
P 30.97 P.upf
O 16.00 O.upf
ATOMIC_POSITIONS angstrom
Ca -0.8823 9.3073 1.5968
Ca 0.8823 10.3607 4.7904
Zn -0.0483 4.8841 3.3781
Zn -0.0483 15.8373 6.2026
Zn 0.0483 14.7839 3.0091
Zn 0.0483 3.8307 0.1845
P 1.3801 12.0746 2.0870
P 1.3801 6.5400 1.1066
P -1.3801 7.5934 4.3001
P -1.3801 13.1280 5.2806
O 0.5253 10.8575 2.4873
O 0.5253 7.7571 0.7063
O -0.5253 8.8105 3.8998
O -0.5253 11.9109 5.6809
O 0.4262 13.2915 1.7155
O 0.4262 5.3231 1.4781
O -0.4262 6.3765 4.6717
O -0.4262 14.3449 4.9091
O -2.2602 7.9248 5.5094
O -2.2602 12.7966 4.0713
O 2.2602 11.7432 0.8777
O 2.2602 6.8714 2.3159
O -3.3481 8.4880 0.2970
O -3.3481 10.1267 2.8965
O 3.3481 11.1801 6.0901
O 3.3481 9.5414 3.4906
O 2.1827 12.4709 3.3652
O 2.1827 8.2505 6.2155
O -2.1827 7.1971 3.0219
O -2.1827 11.4175 0.1716
CELL_PARAMETERS angstrom
3.8013 8.7806 0.0000
-3.8013 8.7806 0.0000
0.0000 2.1068 6.3871
```

Properties
MP2020-corrected energy: -6.379 eV/atom
Final energy: -6.271 eV per atom
Energy relative to the lowest polymorph listed for this composition: 0 meV per atom